A plane-wave DFT calculation with GGA+U was carried out for crystalline Al2NiO4 at its relaxed geometry.

The formation energy is -2790 meV/atom. For the energy above the most stable polymorph in this dataset, the calculation gives 0.012 eV/atom. The space-group type is Cm, No. 8. The electronic total energy comes out at -378.45 eV per cell.

a b c (Å): 5.7677 5.7677 18.9664
angles (deg): 81.21 81.21 59.90
Last column: nearest neighbours and their distance in Å.
Fractional positions:
Al: 0.9989 0.9989 0.0025  6 O 1.87-1.99
Al: 0.1221 0.6316 0.1253  6 O 1.88-2.01
Al: 0.6316 0.1221 0.1253  6 O 1.88-2.01
Al: 0.2502 0.2502 0.2526  6 O 1.86-2.02
Al: 0.1510 0.1510 0.5340  4 O 1.80-1.85
Al: 0.3755 0.8800 0.3755  6 O 1.87-1.98
Al: 0.8800 0.3755 0.3755  6 O 1.87-1.98
Al: 0.3986 0.3986 0.7809  4 O 1.78-1.82
Al: 0.6007 0.6007 0.2198  4 O 1.81-1.90
Al: 0.6247 0.1252 0.6243  6 O 1.90-1.98
Al: 0.1252 0.6247 0.6243  6 O 1.90-1.98
Al: 0.8511 0.8511 0.4661  4 O 1.79-1.85
Al: 0.8712 0.3754 0.8733  6 O 1.85-2.03
Al: 0.3754 0.8712 0.8733  6 O 1.85-2.03
Al: 0.0986 0.0986 0.7163  4 O 1.79-1.86
Al: 0.3484 0.3484 0.9701  4 O 1.82-1.91
Ni: 0.6554 0.6554 0.0293  4 O 1.94-1.97
Ni: 0.1231 0.1231 0.1251  6 O 2.03-2.07
Ni: 0.9060 0.9060 0.2839  4 O 1.94-1.98
Ni: 0.3757 0.3757 0.3754  6 O 2.02-2.08
Ni: 0.6251 0.6251 0.6247  6 O 2.03-2.07
Ni: 0.5012 0.5012 0.4994  6 O 2.04-2.09
Ni: 0.8721 0.8721 0.8740  6 O 2.02-2.07
Ni: 0.7487 0.7487 0.7498  6 O 2.03-2.10
O: 0.2767 0.8129 0.0629  2 Al 1.87-1.88, 2 Ni 1.94-2.03
O: 0.9294 0.9294 0.1795  2 Al 1.88, 2 Ni 1.95-2.03
O: 0.8129 0.2767 0.0629  2 Al 1.87-1.88, 2 Ni 1.94-2.03
O: 0.8276 0.8276 0.0662  3 Al 1.91-1.92, 1 Ni 1.97
O: 0.5244 0.0666 0.3138  2 Al 1.86-1.87, 2 Ni 1.94-2.02
O: 0.4322 0.4322 0.1864  4 Al 1.90-2.02
O: 0.4405 0.9589 0.1882  3 Al 1.83-1.97
O: 0.1818 0.1818 0.4375  3 Al 1.80-1.98
O: 0.0666 0.5244 0.3138  2 Al 1.86-1.87, 2 Ni 1.94-2.02
O: 0.3195 0.3195 0.0675  3 Al 1.82-1.98
O: 0.9589 0.4405 0.1882  3 Al 1.83-1.97
O: 0.0828 0.0828 0.3172  3 Al 1.89-1.91, 1 Ni 1.98
O: 0.8018 0.2994 0.5668  2 Al 1.80-1.90
O: 0.6902 0.6902 0.4316  3 Al 1.84-1.97
O: 0.7038 0.1985 0.4330  2 Al 1.79-1.90
O: 0.2994 0.8018 0.5668  2 Al 1.80-1.90
O: 0.5710 0.5710 0.3167  3 Al 1.81-1.97
O: 0.4298 0.4298 0.6834  3 Al 1.82-1.96
O: 0.1985 0.7038 0.4330  2 Al 1.79-1.90
O: 0.3135 0.3135 0.5675  3 Al 1.85-1.96
O: 0.0541 0.5449 0.8157  2 Al 1.78-1.90
O: 0.9362 0.9362 0.6831  3 Al 1.84-1.98
O: 0.6768 0.6768 0.9242  2 Al 1.85, 2 Ni 1.97-2.02
O: 0.9506 0.4473 0.6836  2 Al 1.79-1.91
O: 0.5449 0.0541 0.8157  2 Al 1.78-1.90
O: 0.8201 0.8201 0.5652  3 Al 1.85-1.96, 1 Ni 2.07
O: 0.5569 0.5569 0.8159  3 Al 1.82-1.98
O: 0.4473 0.9506 0.6836  2 Al 1.79-1.91
O: 0.1786 0.1786 0.9372  4 Al 1.91-2.03
O: 0.1870 0.7075 0.9381  3 Al 1.84-1.97
O: 0.0682 0.0682 0.8158  3 Al 1.86-1.95, 1 Ni 2.07
O: 0.7075 0.1870 0.9381  3 Al 1.84-1.97